No. 1
The following is a PBE calculation of Os2C6SeO6 after structural relaxation, from the Materials Project database.

Summary:
Magnetic moment = 0.001 μB per cell
Calculated total energy = -8.0460 eV/atom

abc: 9.6450 14.1897 16.6015
angles: 81.69 73.98 89.65
With the nearest neighbours (Å) after each atom.
Space group P-1 (No. 2)
Unique sites:
Os  0.0044  0.0754  0.2350 x2  3 C 1.90-1.92
Os  0.0430  0.1337  0.7000 x2  3 C 1.89-1.90
Os  0.2174  0.9237  0.1533 x2  3 C 1.89-1.91
Os  0.2411  0.9200  0.3320 x2  3 C 1.90-1.91
Os  0.3441  0.4907  0.8063 x2  3 C 1.88-1.90
Os  0.3531  0.4397  0.2933 x2  3 C 1.89-1.90
Os  0.3957  0.6459  0.6502 x2  3 C 1.90-1.92
Os  0.4664  0.6583  0.8560 x2  3 C 1.89-1.91
C  0.0012  0.7373  0.3261 x2  1 O 1.16
C  0.0075  0.1930  0.2761 x2  1 O 1.16
C  0.0246  0.1317  0.1201 x2  1 O 1.16
C  0.1080  0.1588  0.7930 x2  1 O 1.16
C  0.1707  0.4512  0.8924 x2  1 O 1.16
C  0.1767  0.7953  0.1427 x2  1 O 1.16
C  0.1801  0.9691  0.0486 x2  1 O 1.16
C  0.1891  0.8115  0.4182 x2  1 O 1.16
C  0.1990  0.9399  0.7474 x2  1 O 1.16
C  0.2078  0.3987  0.3949 x2  1 O 1.16
C  0.2082  0.4701  0.2373 x2  1 O 1.16
C  0.2301  0.1504  0.6230 x2  1 O 1.16
C  0.2412  0.5783  0.6290 x2  1 O 1.16
C  0.3001  0.4065  0.7382 x2  1 O 1.16
C  0.3289  0.9896  0.3959 x2  1 O 1.16
C  0.3516  0.7681  0.6023 x2  1 O 1.16
C  0.3533  0.3358  0.1176 x2  1 O 1.16
C  0.3611  0.5656  0.3185 x2  1 O 1.16
C  0.3757  0.5795  0.9607 x2  1 O 1.16
C  0.4067  0.7743  0.8962 x2  1 O 1.16
C  0.4148  0.9143  0.0977 x2  1 O 1.16
C  0.4156  0.8621  0.2798 x2  1 O 1.16
C  0.4569  0.3988  0.8517 x2  1 O 1.17
C  0.4761  0.3835  0.4526 x2  1 O 1.16
Se  0.0082  0.0071  0.6118 x2  3 Os 2.55-2.61
Se  0.2365  0.6552  0.8029 x2  3 Os 2.55-2.61
Se  0.2817  0.0673  0.2129 x2  3 Os 2.54-2.61
Se  0.4136  0.2642  0.2994 x2  3 Os 2.55-2.63
O  0.0118  0.2633  0.3037 x2  1 C 1.16
O  0.0276  0.6577  0.3406 x2  1 C 1.16
O  0.0320  0.1724  0.0530 x2  1 C 1.16
O  0.0652  0.4226  0.9434 x2  1 C 1.16
O  0.1161  0.4901  0.2060 x2  1 C 1.16
O  0.1187  0.3743  0.4575 x2  1 C 1.16
O  0.1470  0.5408  0.6140 x2  1 C 1.16
O  0.1556  0.1750  0.8469 x2  1 C 1.16
O  0.1566  0.9941  0.9841 x2  1 C 1.16
O  0.1621  0.7173  0.1317 x2  1 C 1.16
O  0.1618  0.7468  0.4721 x2  1 C 1.16
O  0.2466  0.3251  0.0999 x2  1 C 1.16
O  0.2753  0.3512  0.6983 x2  1 C 1.16
O  0.3221  0.5363  0.0271 x2  1 C 1.16
O  0.3230  0.9450  0.7384 x2  1 C 1.16
O  0.3294  0.8441  0.5731 x2  1 C 1.16
O  0.3456  0.1617  0.5766 x2  1 C 1.16
O  0.3584  0.6392  0.3419 x2  1 C 1.16
O  0.3662  0.8442  0.9221 x2  1 C 1.16
O  0.3843  0.0312  0.4343 x2  1 C 1.16
O  0.4045  0.4012  0.5171 x2  1 C 1.16
O  0.4649  0.0926  0.9387 x2  1 C 1.16
O  0.4743  0.1721  0.7464 x2  1 C 1.16
O  0.4845  0.6600  0.1146 x2  1 C 1.17

No. 2
The following is a PBE calculation of Na3La3NbP5SO24 after structural relaxation, from the Materials Project database.

Summary:
Magnetic moment = 0.000 μB per cell
Calculated total energy = -7.3423 eV/atom

abc: 9.3245 9.3619 24.3885
angles: 89.80 89.95 60.25
With the nearest neighbours (Å) after each atom.
Space group P1 (No. 1)
Unique sites:
Na  0.0000  0.0000  0.0000 x1  3 O 2.55-2.66
Na  0.0008  0.9936  0.4977 x1  4 O 2.51-2.74
Na  0.0278  0.3215  0.5821 x1  2 O 2.32-2.54
Na  0.3232  0.3541  0.1639 x1  6 O 2.65-2.86
Na  0.3338  0.3420  0.6684 x1  4 O 2.61-2.91
Na  0.6466  0.0102  0.2471 x1  2 O 2.31-2.55
Na  0.6604  0.6718  0.3335 x1  6 O 2.79-2.99
Na  0.6643  0.6788  0.8305 x1  5 O 2.65-2.96
Na  0.9624  0.3518  0.9176 x1  3 O 2.36-2.50
La  0.0011  0.0085  0.8552 x1  6 O 2.35-2.48
La  0.0040  0.0045  0.3490 x1  6 O 2.45-2.57
La  0.0045  0.0066  0.6473 x1  6 O 2.31-2.38
La  0.0062  0.0117  0.1465 x1  6 O 2.30-2.37
La  0.3288  0.3527  0.3125 x1  6 O 2.26-2.44
La  0.3320  0.3438  0.8145 x1  6 O 2.25-2.43
La  0.6596  0.6881  0.9832 x1  6 O 2.26-2.39
La  0.6595  0.6888  0.4821 x1  6 O 2.28-2.46
La  0.6737  0.6722  0.6769 x1  6 O 2.37-2.48
Nb  0.3398  0.3423  0.0200 x1  6 O 1.99-2.14
Nb  0.3496  0.3432  0.5154 x1  5 O 1.95-2.05
Nb  0.6672  0.6709  0.1784 x1  6 O 2.00-2.14
P  0.0545  0.6271  0.9221 x1  4 O 1.53-1.61
P  0.3196  0.9937  0.2454 x1  4 O 1.52-1.61
P  0.3294  0.0643  0.9212 x1  4 O 1.52-1.62
P  0.3294  0.6362  0.4190 x1  4 O 1.52-1.62
P  0.3644  0.9965  0.5794 x1  4 O 1.52-1.60
P  0.3822  0.6584  0.0824 x1  4 O 1.50-1.62
P  0.6246  0.3403  0.9209 x1  4 O 1.52-1.62
P  0.6258  0.0602  0.4167 x1  4 O 1.53-1.63
P  0.6517  0.9807  0.0835 x1  4 O 1.50-1.61
P  0.6622  0.3755  0.5791 x1  4 O 1.52-1.60
P  0.7047  0.3203  0.2455 x1  4 O 1.53-1.61
P  0.9698  0.3937  0.0805 x1  4 O 1.51-1.63
P  0.9833  0.7116  0.2440 x1  4 O 1.52-1.61
P  0.9877  0.6608  0.5773 x1  4 O 1.52-1.60
P  0.9969  0.3146  0.7488 x1  4 O 1.55-1.57
S  0.0475  0.3393  0.4209 x1  4 O 1.47-1.51
S  0.3065  0.7098  0.7493 x1  4 O 1.47-1.49
S  0.7010  0.0066  0.7488 x1  4 O 1.47-1.49
O  0.0058  0.2163  0.6966 x1  1 P 1.55
O  0.0105  0.7975  0.1954 x1  1 P 1.52
O  0.0150  0.8075  0.5845 x1  1 P 1.53
O  0.0374  0.1861  0.4205 x1  1 S 1.48
O  0.0405  0.7977  0.9235 x1  1 P 1.54
O  0.1252  0.3526  0.3699 x1  1 S 1.48
O  0.1276  0.5364  0.2503 x1  1 P 1.53
O  0.1307  0.5345  0.8689 x1  1 P 1.53
O  0.1450  0.3830  0.0755 x1  1 P 1.59
O  0.1490  0.3330  0.4702 x1  1 S 1.51
O  0.1543  0.3309  0.7487 x1  1 P 1.55
O  0.1596  0.0699  0.9238 x1  1 P 1.56
O  0.1607  0.4984  0.5659 x1  1 P 1.60
O  0.1693  0.5201  0.9728 x1  1 P 1.61
O  0.1689  0.8033  0.4220 x1  1 P 1.54
O  0.1826  0.0360  0.5847 x1  1 P 1.55
O  0.2068  0.0279  0.1964 x1  1 P 1.52
O  0.2089  0.8023  0.0919 x1  1 P 1.52
O  0.2109  0.7922  0.6996 x1  1 S 1.47
O  0.2190  0.8037  0.7992 x1  1 S 1.49
O  0.2482  0.9633  0.2985 x1  1 P 1.54
O  0.3254  0.5432  0.7499 x1  1 S 1.48
O  0.3268  0.1760  0.9720 x1  1 P 1.62
O  0.3279  0.5236  0.4695 x1  1 P 1.62
O  0.3391  0.5437  0.3665 x1  1 P 1.52
O  0.3425  0.1417  0.8679 x1  1 P 1.52
O  0.3466  0.1729  0.5672 x1  1 P 1.60
O  0.3622  0.1334  0.2512 x1  1 P 1.55
O  0.3738  0.4941  0.0764 x1  1 P 1.59
O  0.4424  0.8856  0.5303 x1  1 P 1.52
O  0.4539  0.6853  0.0310 x1  1 P 1.50
O  0.4663  0.9259  0.6320 x1  1 P 1.54
O  0.4712  0.6979  0.7478 x1  1 S 1.48
O  0.4749  0.8907  0.9236 x1  1 P 1.52
O  0.4855  0.6497  0.4230 x1  1 P 1.53
O  0.4876  0.1554  0.0744 x1  1 P 1.61
O  0.4947  0.8325  0.2321 x1  1 P 1.61
O  0.5017  0.6434  0.1327 x1  1 P 1.62
O  0.5057  0.3539  0.5662 x1  1 P 1.60
O  0.5109  0.1753  0.4667 x1  1 P 1.63
O  0.5165  0.3359  0.9724 x1  1 P 1.62
O  0.5299  0.3418  0.2511 x1  1 P 1.55
O  0.5313  0.3539  0.8683 x1  1 P 1.52
O  0.5355  0.1371  0.3629 x1  1 P 1.53
O  0.5370  0.1573  0.7496 x1  1 S 1.48
O  0.6210  0.4782  0.6317 x1  1 P 1.54
O  0.6314  0.8844  0.1345 x1  1 P 1.60
O  0.6420  0.8903  0.4223 x1  1 P 1.53
O  0.6544  0.4873  0.9240 x1  1 P 1.54
O  0.6795  0.8813  0.0322 x1  1 P 1.50
O  0.6826  0.8578  0.7475 x1  1 S 1.49
O  0.6861  0.4958  0.2304 x1  1 P 1.61
O  0.6938  0.4589  0.5307 x1  1 P 1.52
O  0.7864  0.0152  0.6991 x1  1 S 1.47
O  0.7864  0.2044  0.1973 x1  1 P 1.53
O  0.7931  0.0548  0.4206 x1  1 P 1.54
O  0.7953  0.0128  0.0921 x1  1 P 1.53
O  0.7961  0.1808  0.9232 x1  1 P 1.56
O  0.7978  0.9951  0.7988 x1  1 S 1.49
O  0.8069  0.2546  0.2986 x1  1 P 1.54
O  0.8136  0.2030  0.5852 x1  1 P 1.54
O  0.8197  0.7013  0.2311 x1  1 P 1.61
O  0.8394  0.4879  0.7471 x1  1 P 1.56
O  0.8627  0.5142  0.1304 x1  1 P 1.63
O  0.8756  0.4616  0.0276 x1  1 P 1.51
O  0.8757  0.6869  0.5286 x1  1 P 1.52
O  0.8817  0.4857  0.4237 x1  1 S 1.47
O  0.8871  0.6332  0.9259 x1  1 P 1.54
O  0.9205  0.6165  0.6293 x1  1 P 1.56
O  0.9408  0.8204  0.2963 x1  1 P 1.56
O  0.9884  0.2236  0.8019 x1  1 P 1.57
O  0.9975  0.2211  0.0909 x1  1 P 1.52

no.,V (Å³/cell)
1,2160
2,1848